1.
{
  "formula": "Y10U4O27",
  "functional": "r2SCAN",
  "state": "relaxed",
  "formation_enthalpy_0k_ev_per_atom": -3.792,
  "rho_g_cm3": 7.1,
  "total_magnetization_mub_per_fu": 0.00,
  "lattice_angstrom": [[6.507, 0.000, 0.000], [-1.090, 6.444, 0.000], [-2.103, -2.440, 12.598]],
  "species": ["Y", "Y", "Y", "Y", "Y", "Y", "Y", "Y", "Y", "Y", "U", "U", "U", "U", "O", "O", "O", "O", "O", "O", "O", "O", "O", "O", "O", "O", "O", "O", "O", "O", "O", "O", "O", "O", "O", "O", "O", "O", "O", "O", "O"],
  "fractional_positions": [[0.000, 0.000, 0.000], [0.006, 0.008, 0.503], [0.158, 0.576, 0.639], [0.443, 0.720, 0.931], [0.450, 0.759, 0.438], [0.589, 0.281, 0.072], [0.604, 0.298, 0.589], [0.726, 0.855, 0.220], [0.874, 0.437, 0.861], [0.911, 0.456, 0.366], [0.156, 0.572, 0.138], [0.287, 0.137, 0.280], [0.301, 0.157, 0.790], [0.731, 0.855, 0.717], [0.046, 0.902, 0.673], [0.052, 0.884, 0.160], [0.124, 0.684, 0.991], [0.139, 0.713, 0.486], [0.201, 0.454, 0.807], [0.243, 0.459, 0.312], [0.254, 0.241, 0.130], [0.268, 0.240, 0.638], [0.325, 0.047, 0.934], [0.376, 0.103, 0.438], [0.380, 0.827, 0.264], [0.414, 0.834, 0.762], [0.455, 0.596, 0.100], [0.499, 0.610, 0.589], [0.548, 0.395, 0.913], [0.598, 0.210, 0.262], [0.618, 0.176, 0.743], [0.681, 0.968, 0.062], [0.700, 0.972, 0.573], [0.749, 0.739, 0.378], [0.759, 0.765, 0.868], [0.841, 0.558, 0.704], [0.872, 0.535, 0.196], [0.895, 0.333, 0.514], [0.928, 0.336, 0.024], [0.973, 0.108, 0.833], [0.995, 0.107, 0.331]]
}



2.
{
  "formula": "V2O5",
  "functional": "r2SCAN",
  "state": "relaxed",
  "formation_enthalpy_0k_ev_per_atom": -2.412,
  "rho_g_cm3": 3.2,
  "total_magnetization_mub_per_fu": 0.00,
  "lattice_angstrom": [[7.796, 0.000, 0.000], [0.000, 6.491, 0.000], [0.000, 0.000, 7.524]],
  "species": ["V", "V", "V", "V", "V", "V", "V", "V", "O", "O", "O", "O", "O", "O", "O", "O", "O", "O", "O", "O", "O", "O", "O", "O", "O", "O", "O", "O"],
  "fractional_positions": [[0.119, 0.250, 0.123], [0.169, 0.750, 0.240], [0.331, 0.250, 0.740], [0.381, 0.750, 0.623], [0.619, 0.250, 0.377], [0.669, 0.750, 0.260], [0.831, 0.250, 0.760], [0.881, 0.750, 0.877], [0.055, 0.750, 0.012], [0.120, 0.032, 0.252], [0.120, 0.468, 0.252], [0.136, 0.250, 0.673], [0.205, 0.750, 0.484], [0.295, 0.250, 0.984], [0.364, 0.750, 0.173], [0.380, 0.532, 0.752], [0.380, 0.968, 0.752], [0.445, 0.250, 0.512], [0.555, 0.750, 0.488], [0.620, 0.032, 0.248], [0.620, 0.468, 0.248], [0.636, 0.250, 0.827], [0.705, 0.750, 0.016], [0.795, 0.250, 0.516], [0.864, 0.750, 0.327], [0.880, 0.532, 0.748], [0.880, 0.968, 0.748], [0.945, 0.250, 0.988]]
}



3.
{
  "formula": "V5O9",
  "functional": "r2SCAN",
  "state": "relaxed",
  "formation_enthalpy_0k_ev_per_atom": -2.659,
  "rho_g_cm3": 4.7,
  "total_magnetization_mub_per_fu": 7.00,
  "lattice_angstrom": [[5.495, 0.000, 0.000], [2.324, 6.602, 0.000], [2.172, 2.363, 7.745]],
  "species": ["V", "V", "V", "V", "V", "V", "V", "V", "V", "V", "O", "O", "O", "O", "O", "O", "O", "O", "O", "O", "O", "O", "O", "O", "O", "O", "O", "O"],
  "fractional_positions": [[0.000, 0.000, 0.000], [0.001, 0.499, 0.001], [0.279, 0.178, 0.578], [0.280, 0.677, 0.578], [0.558, 0.855, 0.155], [0.560, 0.353, 0.156], [0.621, 0.343, 0.781], [0.630, 0.835, 0.783], [0.931, 0.519, 0.373], [0.937, 0.011, 0.376], [0.021, 0.711, 0.440], [0.191, 0.985, 0.499], [0.220, 0.972, 0.159], [0.253, 0.990, 0.819], [0.306, 0.364, 0.338], [0.339, 0.382, 0.997], [0.367, 0.369, 0.657], [0.538, 0.643, 0.717], [0.565, 0.668, 0.378], [0.592, 0.646, 0.038], [0.654, 0.026, 0.556], [0.686, 0.027, 0.902], [0.700, 0.042, 0.212], [0.860, 0.311, 0.944], [0.873, 0.326, 0.255], [0.904, 0.328, 0.601], [0.967, 0.707, 0.119], [0.995, 0.686, 0.778]]
}



4.
{
  "formula": "V2O5",
  "functional": "r2SCAN",
  "state": "relaxed",
  "formation_enthalpy_0k_ev_per_atom": -2.416,
  "rho_g_cm3": 3.4,
  "total_magnetization_mub_per_fu": 0.00,
  "lattice_angstrom": [[3.552, 0.000, 0.000], [0.000, 11.604, 0.000], [0.000, 0.000, 4.263]],
  "species": ["V", "V", "V", "V", "O", "O", "O", "O", "O", "O", "O", "O", "O", "O"],
  "fractional_positions": [[0.250, 0.102, 0.111], [0.250, 0.398, 0.111], [0.750, 0.602, 0.889], [0.750, 0.898, 0.889], [0.250, 0.103, 0.486], [0.250, 0.250, 0.006], [0.250, 0.397, 0.486], [0.250, 0.568, 0.994], [0.250, 0.932, 0.994], [0.750, 0.068, 0.006], [0.750, 0.432, 0.006], [0.750, 0.603, 0.514], [0.750, 0.750, 0.994], [0.750, 0.897, 0.514]]
}



5.
{
  "formula": "V6O13",
  "functional": "r2SCAN",
  "state": "relaxed",
  "formation_enthalpy_0k_ev_per_atom": -2.563,
  "rho_g_cm3": 3.9,
  "total_magnetization_mub_per_fu": 4.00,
  "lattice_angstrom": [[-0.054, -3.590, -0.753], [8.518, 0.999, -5.370], [8.181, -1.893, 8.447]],
  "species": ["V", "V", "V", "V", "V", "V", "V", "V", "V", "V", "V", "V", "O", "O", "O", "O", "O", "O", "O", "O", "O", "O", "O", "O", "O", "O", "O", "O", "O", "O", "O", "O", "O", "O", "O", "O", "O", "O"],
  "fractional_positions": [[0.250, 0.636, 0.460], [0.250, 0.364, 0.040], [0.750, 0.636, 0.960], [0.750, 0.364, 0.540], [0.250, 0.636, 0.162], [0.750, 0.364, 0.838], [0.250, 0.364, 0.338], [0.750, 0.636, 0.662], [0.250, 0.999, 0.103], [0.250, 0.001, 0.397], [0.750, 0.001, 0.897], [0.750, 0.999, 0.603], [0.750, 0.804, 0.636], [0.250, 0.804, 0.136], [0.250, 0.196, 0.364], [0.750, 0.196, 0.864], [0.250, 0.802, 0.426], [0.250, 0.198, 0.073], [0.750, 0.802, 0.927], [0.750, 0.198, 0.574], [0.250, 0.591, 0.313], [0.750, 0.591, 0.813], [0.750, 0.409, 0.687], [0.250, 0.409, 0.187], [0.250, 0.614, 0.629], [0.750, 0.614, 0.129], [0.750, 0.386, 0.371], [0.250, 0.386, 0.871], [0.250, 0.407, 0.501], [0.750, 0.593, 0.499], [0.750, 0.407, 0.001], [0.250, 0.593, 0.999], [0.250, 0.000, 0.250], [0.750, 0.000, 0.750], [0.750, 0.001, 0.070], [0.250, 0.001, 0.570], [0.750, 0.999, 0.430], [0.250, 0.999, 0.930]]
}



6.
{
  "formula": "V2O5",
  "functional": "r2SCAN",
  "state": "relaxed",
  "formation_enthalpy_0k_ev_per_atom": -2.369,
  "rho_g_cm3": 2.4,
  "total_magnetization_mub_per_fu": 0.00,
  "lattice_angstrom": [[0.000, 9.539, 2.711], [4.865, 0.000, 2.711], [4.865, 9.539, 0.000]],
  "species": ["V", "V", "V", "V", "O", "O", "O", "O", "O", "O", "O", "O", "O", "O"],
  "fractional_positions": [[0.009, 0.991, 0.842], [0.092, 0.408, 0.259], [0.408, 0.092, 0.241], [0.991, 0.009, 0.158], [0.102, 0.303, 0.116], [0.125, 0.125, 0.875], [0.134, 0.771, 0.148], [0.198, 0.786, 0.410], [0.303, 0.102, 0.479], [0.375, 0.375, 0.125], [0.644, 0.840, 0.464], [0.771, 0.134, 0.947], [0.786, 0.198, 0.606], [0.840, 0.644, 0.052]]
}